Model a:
Density functional theory data (PBE+U) for an optimized crystal structure of Li3Fe2P3O12.

Unit cell a=8.472 b=8.799 c=12.306 alpha=90.00 beta=92.47 gamma=90.00
Space group P2/c (No. 13)
Asymmetric unit:
1 Li 0.000 0.000 0.000 (multiplicity 2)
2 Li 0.000 0.097 0.250 (multiplicity 2)
3 Li 0.209 0.308 0.547 (multiplicity 4)
4 Li 0.500 0.403 0.250 (multiplicity 2)
5 Li 0.500 0.500 0.000 (multiplicity 2)
6 Fe 0.213 0.495 0.857 (multiplicity 4)
7 Fe 0.290 0.000 0.145 (multiplicity 4)
8 P 0.000 0.206 0.750 (multiplicity 2)
9 P 0.149 0.352 0.102 (multiplicity 4)
10 P 0.344 0.143 0.395 (multiplicity 4)
11 P 0.500 0.298 0.750 (multiplicity 2)
12 O 0.028 0.395 0.411 (multiplicity 4)
13 O 0.070 0.100 0.663 (multiplicity 4)
14 O 0.120 0.306 0.812 (multiplicity 4)
15 O 0.152 0.177 0.088 (multiplicity 4)
16 O 0.223 0.402 0.214 (multiplicity 4)
17 O 0.245 0.090 0.492 (multiplicity 4)
18 O 0.249 0.097 0.290 (multiplicity 4)
19 O 0.250 0.439 0.019 (multiplicity 4)
20 O 0.360 0.320 0.409 (multiplicity 4)
21 O 0.371 0.203 0.691 (multiplicity 4)
22 O 0.434 0.408 0.838 (multiplicity 4)
23 O 0.489 0.080 0.106 (multiplicity 4)

Results
- density (g cm⁻³) = 3.025

=====

Model b:
Density functional theory data (PBE+U) for an optimized crystal structure of Li3Fe2P3O12.

Unit cell a=8.715 b=8.749 c=15.031 alpha=90.00 beta=125.25 gamma=90.00
Space group P2_1/c (No. 14)
Asymmetric unit:
1 Li 0.038 0.229 0.318 (multiplicity 4)
2 Li 0.346 0.563 0.288 (multiplicity 4)
3 Li 0.384 0.232 0.186 (multiplicity 4)
4 Fe 0.135 0.543 0.390 (multiplicity 4)
5 Fe 0.365 0.540 0.105 (multiplicity 4)
6 P 0.039 0.099 0.647 (multiplicity 4)
7 P 0.254 0.609 0.648 (multiplicity 4)
8 P 0.458 0.245 0.004 (multiplicity 4)
9 O 0.011 0.240 0.179 (multiplicity 4)
10 O 0.065 0.523 0.231 (multiplicity 4)
11 O 0.093 0.597 0.663 (multiplicity 4)
12 O 0.124 0.552 0.967 (multiplicity 4)
13 O 0.181 0.585 0.529 (multiplicity 4)
14 O 0.230 0.096 0.661 (multiplicity 4)
15 O 0.269 0.161 0.925 (multiplicity 4)
16 O 0.340 0.726 0.185 (multiplicity 4)
17 O 0.380 0.631 0.423 (multiplicity 4)
18 O 0.410 0.012 0.219 (multiplicity 4)
19 O 0.437 0.163 0.585 (multiplicity 4)
20 O 0.493 0.154 0.434 (multiplicity 4)

Results
- density (g cm⁻³) = 2.962

=====

Model c:
Density functional theory data (PBE+U) for an optimized crystal structure of Li3Fe2P3O12.

Unit cell a=15.191 b=8.722 c=8.713 alpha=90.00 beta=124.90 gamma=90.00
Space group Cc (No. 9)
Asymmetric unit:
1 Li 0.000 0.073 0.000 (multiplicity 4)
2 Li 0.178 0.368 0.954 (multiplicity 4)
3 Li 0.381 0.160 0.027 (multiplicity 4)
4 Fe 0.086 0.253 0.558 (multiplicity 4)
5 Fe 0.290 0.250 0.344 (multiplicity 4)
6 P 0.047 0.389 0.159 (multiplicity 4)
7 P 0.184 0.047 0.946 (multiplicity 4)
8 P 0.327 0.389 0.744 (multiplicity 4)
9 O 0.023 0.437 0.619 (multiplicity 4)
10 O 0.078 0.366 0.359 (multiplicity 4)
11 O 0.098 0.148 0.779 (multiplicity 4)
12 O 0.121 0.045 0.505 (multiplicity 4)
13 O 0.141 0.336 0.147 (multiplicity 4)
14 O 0.235 0.328 0.757 (multiplicity 4)
15 O 0.247 0.055 0.394 (multiplicity 4)
16 O 0.271 0.157 0.103 (multiplicity 4)
17 O 0.303 0.362 0.550 (multiplicity 4)
18 O 0.345 0.435 0.279 (multiplicity 4)
19 O 0.429 0.309 0.907 (multiplicity 4)
20 O 0.450 0.210 0.514 (multiplicity 4)

Results
- density (g cm⁻³) = 2.928

=====

Most stable one: model b, least stable one: model a.

=====

Model a:
Density functional theory data (PBE+U) for an optimized crystal structure of Li3Fe2P3O12.

Unit cell a=14.377 b=13.309 c=9.751 alpha=90.00 beta=94.88 gamma=90.00
Space group C2 (No. 5)
Asymmetric unit:
1 Li 0.110 0.000 0.032 (multiplicity 4)
2 Li 0.127 0.695 0.608 (multiplicity 4)
3 Li 0.174 0.437 0.528 (multiplicity 4)
4 Li 0.185 0.258 0.201 (multiplicity 4)
5 Li 0.245 0.564 0.765 (multiplicity 4)
6 Li 0.249 0.338 0.819 (multiplicity 4)
7 Fe 0.000 0.071 0.500 (multiplicity 2)
8 Fe 0.000 0.295 0.500 (multiplicity 2)
9 Fe 0.000 0.348 0.000 (multiplicity 2)
10 Fe 0.000 0.573 0.000 (multiplicity 2)
11 Fe 0.112 0.962 0.723 (multiplicity 4)
12 Fe 0.114 0.682 0.222 (multiplicity 4)
13 P 0.011 0.493 0.699 (multiplicity 4)
14 P 0.015 0.153 0.199 (multiplicity 4)
15 P 0.113 0.761 0.903 (multiplicity 4)
16 P 0.115 0.885 0.406 (multiplicity 4)
17 P 0.196 0.180 0.571 (multiplicity 4)
18 P 0.197 0.466 0.071 (multiplicity 4)
19 O 0.023 0.175 0.360 (multiplicity 4)
20 O 0.024 0.469 0.860 (multiplicity 4)
21 O 0.026 0.688 0.876 (multiplicity 4)
22 O 0.027 0.251 0.865 (multiplicity 4)
23 O 0.033 0.397 0.370 (multiplicity 4)
24 O 0.033 0.963 0.373 (multiplicity 4)
25 O 0.053 0.065 0.843 (multiplicity 4)
26 O 0.064 0.576 0.331 (multiplicity 4)
27 O 0.078 0.783 0.352 (multiplicity 4)
28 O 0.080 0.869 0.867 (multiplicity 4)
29 O 0.106 0.524 0.652 (multiplicity 4)
30 O 0.113 0.129 0.159 (multiplicity 4)
31 O 0.132 0.083 0.586 (multiplicity 4)
32 O 0.133 0.563 0.075 (multiplicity 4)
33 O 0.136 0.278 0.555 (multiplicity 4)
34 O 0.136 0.369 0.070 (multiplicity 4)
35 O 0.136 0.874 0.565 (multiplicity 4)
36 O 0.148 0.764 0.059 (multiplicity 4)
37 O 0.186 0.722 0.810 (multiplicity 4)
38 O 0.202 0.921 0.338 (multiplicity 4)
39 O 0.241 0.966 0.793 (multiplicity 4)
40 O 0.245 0.693 0.289 (multiplicity 4)
41 O 0.248 0.663 0.553 (multiplicity 4)
42 O 0.249 0.970 0.058 (multiplicity 4)

Results
- density (g cm⁻³) = 2.983

=====

Model b:
Density functional theory data (PBE+U) for an optimized crystal structure of Li3Fe2P3O12.

Unit cell a=8.4239 b=8.4239 c=22.8466 alpha=90.00 beta=90.00 gamma=120.00
Space group R-3 (No. 148, hexagonal axes)
Asymmetric unit:
1 Li 0.0211 0.3813 0.2156 (multiplicity 18)
2 Fe 0.0000 0.0000 0.1516 (multiplicity 6)
3 Fe 0.0000 0.0000 0.3534 (multiplicity 6)
4 P 0.0021 0.2922 0.7496 (multiplicity 18)
5 O 0.0096 0.2015 0.6930 (multiplicity 18)
6 O 0.0482 0.8344 0.5888 (multiplicity 18)
7 O 0.0908 0.8545 0.1996 (multiplicity 18)
8 O 0.0952 0.8654 0.8973 (multiplicity 18)

Results
- density (g cm⁻³) = 2.962

=====

Most stable one: model b, least stable one: model a.